No. 1
A plane-wave DFT calculation with PBE was carried out for an optimized crystal structure of SrZnCl4.

```
SrZnCl4
1.0
-3.282 3.282 7.314
3.282 -3.282 7.314
3.282 3.282 -7.314
Sr Zn Cl
2 2 8
Cartesian
0.000 1.641 1.829 Sr
3.282 1.641 5.486 Sr
3.282 1.641 -1.829 Zn
0.000 1.641 9.143 Zn
4.985 0.616 -0.645 Cl
4.306 0.063 3.012 Cl
1.025 0.063 4.302 Cl
1.578 2.665 -0.645 Cl
1.704 0.616 7.959 Cl
2.257 3.219 3.012 Cl
-1.025 3.219 4.302 Cl
-1.704 2.665 7.959 Cl
```

Properties
Energy of formation in eV/atom: -2.21
Raw total energy in eV per atom: -3.528

=====

No. 2
A plane-wave DFT calculation with PBE was carried out for an optimized crystal structure of TaCl4.

```
TaCl4
1.0
6.562 -3.418 0.000
6.562 3.418 0.000
-5.648 0.000 6.666
Ta Cl
2 8
Cartesian
6.562 1.920 0.000 Ta
6.562 -1.920 0.000 Ta
1.574 0.000 1.111 Cl
2.245 1.747 4.780 Cl
5.231 1.747 1.886 Cl
-0.447 0.000 5.705 Cl
7.923 0.000 0.961 Cl
2.245 -1.747 4.780 Cl
5.231 -1.747 1.886 Cl
5.902 0.000 5.555 Cl
```

Properties
Energy of formation in eV/atom: -1.79
Raw total energy in eV per atom: -5.153

=====

No. 3
A plane-wave DFT calculation with PBE was carried out for an optimized crystal structure of Ta2Cl5.

```
Ta2Cl5
1.0
-10.380 10.380 10.380
10.380 -10.380 10.380
10.380 10.380 -10.380
Ta Cl
48 120
Cartesian
4.510 3.992 -3.637 Ta
11.061 1.553 -1.198 Ta
1.553 1.198 -0.680 Ta
14.017 4.510 -3.992 Ta
1.198 -0.680 1.553 Ta
3.992 -3.637 4.510 Ta
6.744 5.871 -3.992 Ta
8.827 1.198 0.680 Ta
11.578 0.680 1.553 Ta
14.373 -3.637 5.871 Ta
-0.680 1.553 1.198 Ta
5.871 -3.992 6.744 Ta
9.700 8.827 -1.198 Ta
5.871 3.992 3.637 Ta
14.373 3.637 4.510 Ta
11.578 -0.680 8.827 Ta
-3.637 4.510 3.992 Ta
8.827 -1.198 9.700 Ta
3.992 3.637 5.871 Ta
1.198 0.680 8.827 Ta
3.637 5.871 3.992 Ta
1.553 -1.198 11.061 Ta
0.680 8.827 1.198 Ta
4.510 -3.992 14.017 Ta
5.871 14.373 -3.637 Ta
9.700 1.553 9.183 Ta
8.827 11.578 -0.680 Ta
6.744 4.510 6.388 Ta
9.183 9.700 1.553 Ta
6.388 6.744 4.510 Ta
1.553 11.578 0.680 Ta
14.017 5.871 6.388 Ta
-1.198 11.061 1.553 Ta
-3.992 6.744 5.871 Ta
4.510 6.388 6.744 Ta
0.680 1.553 11.578 Ta
4.510 14.373 3.637 Ta
11.061 8.827 9.183 Ta
-3.992 14.017 4.510 Ta
-1.198 9.700 8.827 Ta
1.553 9.183 9.700 Ta
3.637 4.510 14.373 Ta
6.388 14.017 5.871 Ta
9.183 11.061 8.827 Ta
-3.637 5.871 14.373 Ta
8.827 9.183 11.061 Ta
-0.680 8.827 11.578 Ta
5.871 6.388 14.017 Ta
9.995 8.129 -7.825 Cl
5.576 -2.634 2.938 Cl
13.603 -0.606 1.028 Cl
12.348 -4.163 4.585 Cl
3.652 2.595 -1.538 Cl
11.919 3.652 -2.595 Cl
3.222 0.606 1.028 Cl
12.348 6.218 -4.585 Cl
7.746 7.442 -5.576 Cl
7.825 -0.385 2.252 Cl
2.595 -1.538 3.652 Cl
7.442 -5.576 7.746 Cl
8.129 -7.825 9.995 Cl
10.986 -1.028 3.222 Cl
14.965 -1.968 4.163 Cl
6.218 4.585 -1.968 Cl
9.353 3.222 -0.606 Cl
7.746 -2.938 5.576 Cl
18.205 0.385 2.252 Cl
2.938 5.576 -2.634 Cl
12.632 2.556 0.385 Cl
1.028 3.222 0.606 Cl
14.543 5.796 -1.968 Cl
8.842 6.729 -2.595 Cl
6.729 2.595 1.538 Cl
0.606 1.028 3.222 Cl
4.585 -1.968 6.218 Cl
5.576 7.746 -2.938 Cl
9.995 2.252 2.556 Cl
12.976 1.538 3.652 Cl
12.976 -1.538 6.729 Cl
9.995 -2.252 7.825 Cl
15.956 2.634 2.938 Cl
10.986 9.353 -3.222 Cl
4.585 1.968 4.163 Cl
-1.538 3.652 2.595 Cl
6.729 -2.595 8.842 Cl
4.163 4.585 1.968 Cl
11.408 7.158 -0.606 Cl
2.252 7.825 -0.385 Cl
13.319 4.805 2.634 Cl
7.825 9.995 -2.252 Cl
7.746 2.938 4.805 Cl
6.218 -4.585 12.348 Cl
9.353 -3.222 10.986 Cl
4.585 12.348 -4.163 Cl
10.986 1.028 7.158 Cl
8.129 7.825 0.385 Cl
7.442 5.576 2.634 Cl
2.595 1.538 6.729 Cl
-2.634 2.938 5.576 Cl
7.825 0.385 8.129 Cl
1.968 4.163 4.585 Cl
3.222 -0.606 9.353 Cl
1.538 6.729 2.595 Cl
3.652 -2.595 11.919 Cl
3.222 10.986 -1.028 Cl
12.348 4.163 5.796 Cl
-0.385 2.252 7.825 Cl
5.576 2.634 7.442 Cl
4.805 7.746 2.938 Cl
10.766 8.129 2.556 Cl
-1.968 6.218 4.585 Cl
7.158 -0.606 11.408 Cl
6.729 12.976 -1.538 Cl
8.842 3.652 7.785 Cl
7.158 10.986 1.028 Cl
8.413 6.218 5.796 Cl
2.556 9.995 2.252 Cl
13.015 7.442 4.805 Cl
7.785 8.842 3.652 Cl
2.938 4.805 7.746 Cl
2.252 2.556 9.995 Cl
-0.606 9.353 3.222 Cl
5.796 -1.968 14.543 Cl
1.028 13.603 -0.606 Cl
4.163 14.965 -1.968 Cl
2.634 7.442 5.576 Cl
2.556 0.385 12.632 Cl
-2.938 5.576 7.746 Cl
8.129 2.556 10.766 Cl
-1.028 3.222 10.986 Cl
6.218 5.796 8.413 Cl
3.652 12.976 1.538 Cl
11.919 6.729 7.785 Cl
5.796 8.413 6.218 Cl
-0.606 1.028 13.603 Cl
-5.576 7.746 7.442 Cl
0.385 12.632 2.556 Cl
-2.595 11.919 3.652 Cl
-2.595 8.842 6.729 Cl
0.385 8.129 7.825 Cl
4.805 2.634 13.319 Cl
5.796 12.348 4.163 Cl
9.775 9.353 7.158 Cl
3.652 7.785 8.842 Cl
1.538 3.652 12.976 Cl
-4.163 4.585 12.348 Cl
9.353 7.158 9.775 Cl
-2.252 7.825 9.995 Cl
7.442 4.805 13.015 Cl
-7.825 9.995 8.129 Cl
2.634 13.319 4.805 Cl
1.028 7.158 10.986 Cl
4.163 5.796 12.348 Cl
-4.585 12.348 6.218 Cl
-0.606 11.408 7.158 Cl
2.252 18.205 0.385 Cl
2.938 15.956 2.634 Cl
7.785 11.919 6.729 Cl
2.556 10.766 8.129 Cl
2.634 2.938 15.956 Cl
-1.968 4.163 14.965 Cl
7.158 9.775 9.353 Cl
-1.538 6.729 12.976 Cl
6.729 7.785 11.919 Cl
-1.968 14.543 5.796 Cl
-3.222 10.986 9.353 Cl
4.805 13.015 7.442 Cl
0.385 2.252 18.205 Cl
```

Properties
Energy of formation in eV/atom: -1.72
Raw total energy in eV per atom: -5.993

=====

No. 4
A plane-wave DFT calculation with PBE was carried out for an optimized crystal structure of TaCl3.

```
TaCl3
1.0
0.000 10.049 10.049
10.049 0.000 10.049
10.049 10.049 0.000
Ta Cl
12 36
Cartesian
2.512 2.512 0.325 Ta
2.512 0.325 2.512 Ta
4.700 2.512 2.512 Ta
0.325 2.512 2.512 Ta
2.512 4.700 2.512 Ta
2.512 2.512 4.700 Ta
17.585 17.585 15.398 Ta
17.585 15.398 17.585 Ta
19.772 17.585 17.585 Ta
15.398 17.585 17.585 Ta
17.585 19.772 17.585 Ta
17.585 17.585 19.772 Ta
7.536 7.536 2.073 Cl
7.536 2.073 7.536 Cl
13.000 7.536 7.536 Cl
15.155 9.967 7.546 Cl
15.155 7.546 9.967 Cl
17.575 9.967 9.967 Cl
4.943 4.943 2.522 Cl
10.130 10.130 2.522 Cl
4.943 2.522 4.943 Cl
12.551 10.130 4.943 Cl
10.130 2.522 10.130 Cl
12.551 4.943 10.130 Cl
12.561 12.561 7.097 Cl
12.561 7.097 12.561 Cl
18.024 12.561 12.561 Cl
2.522 4.943 4.943 Cl
10.130 12.551 4.943 Cl
10.130 4.943 12.551 Cl
9.967 15.155 7.546 Cl
9.967 7.546 15.155 Cl
17.575 15.155 15.155 Cl
2.073 7.536 7.536 Cl
7.536 13.000 7.536 Cl
7.536 7.536 13.000 Cl
7.546 15.155 9.967 Cl
9.967 17.575 9.967 Cl
7.546 9.967 15.155 Cl
15.155 17.575 15.155 Cl
9.967 9.967 17.575 Cl
15.155 15.155 17.575 Cl
2.522 10.130 10.130 Cl
4.943 12.551 10.130 Cl
4.943 10.130 12.551 Cl
7.097 12.561 12.561 Cl
12.561 18.024 12.561 Cl
12.561 12.561 18.024 Cl
```

Properties
Energy of formation in eV/atom: -1.64
Raw total energy in eV per atom: -5.530

=====

No. 5
A plane-wave DFT calculation with PBE was carried out for an optimized crystal structure of TaTlCl6.

```
TaTlCl6
1.0
6.164 -3.245 0.000
6.164 3.245 0.000
-2.602 0.000 12.246
Ta Tl Cl
2 2 12
Cartesian
3.082 1.623 0.000 Ta
1.781 -1.623 6.123 Ta
4.212 2.476 9.185 Tl
5.514 -2.476 3.062 Tl
0.506 0.319 6.616 Cl
1.335 0.551 10.299 Cl
1.807 -0.319 0.492 Cl
4.889 0.770 1.266 Cl
2.636 -0.551 4.176 Cl
6.138 0.770 4.857 Cl
3.588 -0.770 7.390 Cl
7.090 0.551 8.071 Cl
4.837 -0.770 10.980 Cl
7.919 0.319 11.754 Cl
8.391 -0.551 1.948 Cl
9.220 -0.319 5.631 Cl
```

Properties
Energy of formation in eV/atom: -1.75
Raw total energy in eV per atom: -4.449

=====

No. 6
A plane-wave DFT calculation with PBE was carried out for an optimized crystal structure of Ta3Tl2Cl9.

```
Ta3Tl2Cl9
1.0
5.257 -8.478 0.000
5.257 8.478 0.000
-4.238 0.000 8.846
Ta Tl Cl
6 4 18
Cartesian
-1.331 1.449 5.642 Ta
-0.395 0.000 3.302 Ta
-1.331 -1.449 5.642 Ta
7.607 1.449 3.204 Ta
6.671 0.000 5.544 Ta
7.607 -1.449 3.204 Ta
3.361 2.700 1.511 Tl
2.914 2.700 7.335 Tl
3.361 -2.700 1.511 Tl
2.914 -2.700 7.335 Tl
4.248 6.737 1.647 Cl
-0.304 3.306 7.235 Cl
2.028 6.737 7.198 Cl
0.868 1.735 4.544 Cl
3.138 5.016 4.423 Cl
1.791 0.000 1.900 Cl
-0.211 0.000 7.318 Cl
0.868 -1.735 4.544 Cl
-0.304 -3.306 7.235 Cl
6.579 3.306 1.610 Cl
5.408 1.735 4.302 Cl
6.487 0.000 1.528 Cl
4.485 0.000 6.946 Cl
3.138 -5.016 4.423 Cl
5.408 -1.735 4.302 Cl
4.248 -6.737 1.647 Cl
6.579 -3.306 1.610 Cl
2.028 -6.737 7.198 Cl
```

Properties
Energy of formation in eV/atom: -1.61
Raw total energy in eV per atom: -5.284